# Na3OsO5 r2SCAN relaxed
data_Na3OsO5
_chemical_formula_sum 'Na9 Os3 O15'
_symmetry_space_group_name_H-M 'P 31 2 1'
_symmetry_Int_Tables_number 152
_symmetry_space_group_name_Hall 'P 31 2"'
_cell_length_a 5.5046
_cell_length_b 5.5046
_cell_length_c 13.3601
_cell_angle_alpha 90.00
_cell_angle_beta 90.00
_cell_angle_gamma 120.00
loop_
_atom_site_label
_atom_site_type_symbol
_atom_site_fract_x
_atom_site_fract_y
_atom_site_fract_z
Na1 Na 0.0000 0.2725 0.1667
Na2 Na 0.0937 0.3836 0.4190
Os1 Os 0.0000 0.3901 0.6667
O1 O 0.0000 0.7112 0.6667
O2 O 0.1603 0.8374 0.4412
O3 O 0.1684 0.6580 0.2684
# Formation energy (eV per atom): -1.536
# E_tot (eV per atom): -11.9290
# Volume (Å³ per cell): 350.56
# Size of the total moment (μB/f.u.): 1.0

***

# NaOsO3 r2SCAN relaxed
data_NaOsO3
_chemical_formula_sum 'Na6 Os6 O18'
_symmetry_space_group_name_H-M 'R -3 c'
_symmetry_Int_Tables_number 167
_symmetry_space_group_name_Hall '-R 3 2"c'
_cell_length_a 5.3849
_cell_length_b 5.3849
_cell_length_c 13.1341
_cell_angle_alpha 90.00
_cell_angle_beta 90.00
_cell_angle_gamma 120.00
loop_
_atom_site_label
_atom_site_type_symbol
_atom_site_fract_x
_atom_site_fract_y
_atom_site_fract_z
Na1 Na 0.0000 0.0000 0.2500
Os1 Os 0.0000 0.0000 0.0000
O1 O 0.0000 0.4217 0.2500
# Formation energy (eV per atom): -1.366
# E_tot (eV per atom): -16.2591
# Volume (Å³ per cell): 329.83
# Size of the total moment (μB/f.u.): 1.7

***

# NaOsO3 r2SCAN relaxed
data_NaOsO3
_chemical_formula_sum 'Na4 Os4 O12'
_symmetry_space_group_name_H-M 'P 1 21/c 1'
_symmetry_Int_Tables_number 14
_symmetry_space_group_name_Hall '-P 2ybc'
_cell_length_a 7.564
_cell_length_b 5.301
_cell_length_c 5.400
_cell_angle_alpha 90.00
_cell_angle_beta 90.01
_cell_angle_gamma 90.00
loop_
_atom_site_label
_atom_site_type_symbol
_atom_site_fract_x
_atom_site_fract_y
_atom_site_fract_z
Na1 Na 0.250 0.011 0.043
Os1 Os 0.000 0.000 0.500
Os2 Os 0.500 0.000 0.500
O1 O 0.045 0.204 0.793
O2 O 0.250 0.587 0.977
O3 O 0.455 0.205 0.793
# Formation energy (eV per atom): -1.375
# E_tot (eV per atom): -16.2686
# Volume (Å³ per cell): 216.54
# Size of the total moment (μB/f.u.): 1.6

***

# NaPO3 r2SCAN relaxed
data_NaPO3
_chemical_formula_sum 'Na6 P6 O18'
_symmetry_space_group_name_H-M 'P -1'
_symmetry_Int_Tables_number 2
_symmetry_space_group_name_Hall '-P 1'
_cell_length_a 6.987
_cell_length_b 7.036
_cell_length_c 7.791
_cell_angle_alpha 93.45
_cell_angle_beta 103.12
_cell_angle_gamma 90.04
loop_
_atom_site_label
_atom_site_type_symbol
_atom_site_fract_x
_atom_site_fract_y
_atom_site_fract_z
Na1 Na 0.055 0.249 0.279
Na2 Na 0.257 0.478 0.014
Na3 Na 0.423 0.744 0.703
P1 P 0.042 0.735 0.319
P2 P 0.281 0.946 0.115
P3 P 0.379 0.264 0.678
O1 O 0.045 0.561 0.202
O2 O 0.129 0.732 0.511
O3 O 0.134 0.912 0.242
O4 O 0.176 0.185 0.710
O5 O 0.242 0.807 0.960
O6 O 0.274 0.155 0.093
O7 O 0.366 0.266 0.486
O8 O 0.442 0.438 0.796
O9 O 0.491 0.913 0.244
# Formation energy (eV per atom): -2.438
# E_tot (eV per atom): -8.5346
# Volume (Å³ per cell): 372.32
# Size of the total moment (μB/f.u.): 0.0

***

Question: The highest E_tot belongs to which entry?
Answer: NaPO3

***

Question: formation energy of number 3 (NaOsO3)?
Answer: -1.375 eV per atom